No. 1
Here is crystalline VIr at its relaxed geometry from the Materials Project. Energies are from GGA-PBE.

Cell lengths 5.8155, 6.7726, 2.8227 Å; angles 90.00, 90.00, 90.00 degrees
Last column: nearest neighbours and their distance in Å.
Element x y z (fractional)
V  0.2042  0.0000  0.0000  1 V 2.38
V  0.2958  0.5000  0.0000  1 V 2.38
V  0.7042  0.5000  0.0000  1 V 2.38
V  0.7958  0.0000  0.0000  1 V 2.38
Ir  0.0000  0.2836  0.5000  8 V 2.66, 5 Ir 2.82-2.94
Ir  0.0000  0.7164  0.5000  8 V 2.66, 5 Ir 2.82-2.94
Ir  0.5000  0.2164  0.5000  8 V 2.66, 5 Ir 2.82-2.94
Ir  0.5000  0.7836  0.5000  8 V 2.66, 5 Ir 2.82-2.94

The volume comes out at 27.8 Å³/f.u. As for the energy: -9.496 eV/atom. The symmetry is Cmmm, No. 65.

No. 2
Here is crystalline Tl2NiS2 at its relaxed geometry from the Materials Project. Energies are from GGA-PBE.

Cell lengths 4.9098, 4.9098, 11.6965 Å; angles 90.00, 90.00, 90.00 degrees
Last column: nearest neighbours and their distance in Å.
Element x y z (fractional)
Tl  0.0000  0.5000  0.2500  4 S 2.84
Tl  0.0000  0.5000  0.7500  4 S 2.84
Tl  0.5000  0.0000  0.2500  4 S 2.84
Tl  0.5000  0.0000  0.7500  4 S 2.84
Ni  0.0000  0.0000  0.0000  8 S 3.78, 8 Tl 3.82
Ni  0.5000  0.5000  0.5000  8 S 3.78, 8 Tl 3.82
S  0.0000  0.0000  0.3722  4 Tl 2.84, 1 S 2.99
S  0.0000  0.0000  0.6278  4 Tl 2.84, 1 S 2.99
S  0.5000  0.5000  0.1278  4 Tl 2.84, 1 S 2.99
S  0.5000  0.5000  0.8722  4 Tl 2.84, 1 S 2.99

The volume comes out at 141.0 Å³/f.u. Its spin magnetization is 2.37 Bohr magnetons per cell. As for the energy: -2.976 eV/atom. The symmetry is I4/mmm, No. 139.

No. 3
Here is crystalline Ca8In3 at its relaxed geometry from the Materials Project. Energies are from GGA-PBE.

Cell lengths 9.5840, 9.6805, 9.7408 Å; angles 98.82, 100.96, 119.61 degrees
Last column: nearest neighbours and their distance in Å.
Element x y z (fractional)
Ca  0.0310  0.2005  0.1507  4 In 3.29-3.57, 2 Ca 3.48-3.65
Ca  0.0404  0.2081  0.7967  3 In 3.30-3.42, 3 Ca 3.48-3.58
Ca  0.1650  0.6213  0.3898  3 In 3.25-3.58, 2 Ca 3.56
Ca  0.2016  0.9999  0.6087  4 In 3.23-3.61, 1 Ca 3.58
Ca  0.2744  0.6549  0.7987  3 In 3.30-3.46, 3 Ca 3.49-3.58
Ca  0.3804  0.9020  0.1485  3 In 3.22-3.57, 1 Ca 3.49
Ca  0.4228  0.2717  0.3921  2 In 3.20-3.32, 1 Ca 3.58
Ca  0.4578  0.5611  0.1701  3 In 3.37-3.71, 4 Ca 3.71-3.76
Ca  0.5422  0.4390  0.8299  3 In 3.37-3.71, 4 Ca 3.71-3.76
Ca  0.5772  0.7283  0.6079  2 In 3.20-3.32, 1 Ca 3.58
Ca  0.6196  0.0980  0.8515  3 In 3.22-3.57, 1 Ca 3.49
Ca  0.7256  0.3451  0.2013  3 In 3.30-3.46, 3 Ca 3.49-3.58
Ca  0.7984  0.0001  0.3913  4 In 3.23-3.61, 1 Ca 3.58
Ca  0.8350  0.3787  0.6102  3 In 3.25-3.58, 2 Ca 3.56
Ca  0.9596  0.7919  0.2033  3 In 3.30-3.42, 3 Ca 3.48-3.58
Ca  0.9690  0.7995  0.8493  4 In 3.29-3.57, 2 Ca 3.48-3.65
In  0.0000  0.5000  0.0000  10 Ca 3.42-3.58
In  0.1768  0.3404  0.5277  6 Ca 3.20-3.45
In  0.3268  0.1623  0.0002  10 Ca 3.29-3.65
In  0.5000  0.0000  0.5000  8 Ca 3.22-3.32
In  0.6732  0.8377  0.9998  10 Ca 3.29-3.65
In  0.8232  0.6596  0.4723  6 Ca 3.20-3.45

The volume comes out at 369.2 Å³/f.u. As for the energy: -2.537 eV/atom. The symmetry is P-1, No. 2.